(1)
A plane-wave DFT calculation with PBE with a Hubbard U was carried out for a geometry-optimized Na3CoO3 structure.

Properties
Energy of formation in kcal/mol of atoms: -33.86
Energy in eV per atom: -4.6426
Energy relative to the lowest polymorph listed for this composition in kJ/mol of formula units: 72

Cell lengths 8.2561, 8.2561, 16.3483 Å; angles 90.00, 90.00, 96.78 degrees
Atoms (fractional coordinates):
O 0.2599 0.9804 0.8464
Na 0.3318 0.1682 0.7500
Co 0.6721 0.3279 0.4074
O 0.7599 0.4804 0.6536
O 0.1975 0.5549 0.6678
Na 0.1758 0.2289 0.9138
Co 0.0002 0.9998 0.5863
Na 0.7289 0.6758 0.4138
O 0.9475 0.2722 0.9943
Na 0.1620 0.5170 0.8149
O 0.1136 0.1285 0.3388
Na 0.0170 0.6620 0.3149
Co 0.3479 0.6521 0.4198
Na 0.5192 0.8740 0.0690
Na 0.3242 0.2711 0.4138
Na 0.1682 0.3318 0.2500
Co 0.4998 0.5002 0.0863
Na 0.9830 0.3380 0.6851
Co 0.3279 0.6721 0.5926
Na 0.8380 0.4830 0.1851
O 0.8715 0.8864 0.3388
O 0.2401 0.5196 0.3464
O 0.7278 0.0525 0.9943
O 0.6975 0.0549 0.8322
Na 0.9808 0.6260 0.5690
O 0.1161 0.1161 0.5000
Na 0.6260 0.9808 0.4310
Co 0.1721 0.8279 0.0926
Na 0.7711 0.8242 0.9138
O 0.6285 0.6136 0.8388
Co 0.6521 0.3479 0.5802
Na 0.4808 0.1260 0.9310
Na 0.8318 0.6682 0.7500
O 0.0549 0.6975 0.1678
O 0.2278 0.5525 0.5057
O 0.3864 0.3715 0.8388
O 0.8839 0.8839 0.5000
Na 0.4750 0.5250 0.7192
Na 0.3273 0.6727 0.2188
Na 0.0250 0.9750 0.2192
O 0.2722 0.9475 0.0057
Na 0.2289 0.1758 0.0862
Na 0.8273 0.1727 0.2812
O 0.4475 0.7722 0.5057
O 0.6161 0.6161 0.0000
O 0.9451 0.3025 0.8322
O 0.7722 0.4475 0.4943
O 0.3715 0.3864 0.1612
Na 0.4830 0.8380 0.8149
O 0.0196 0.7401 0.8464
Na 0.1260 0.4808 0.0690
Na 0.5250 0.4750 0.2808
Na 0.6727 0.3273 0.7812
Co 0.1521 0.8479 0.9198
Co 0.8479 0.1521 0.0802
Na 0.6620 0.0170 0.6851
Co 0.5002 0.4998 0.9137
O 0.5549 0.1975 0.3322
O 0.4451 0.8025 0.6678
Na 0.8242 0.7711 0.0862
Na 0.8740 0.5192 0.9310
O 0.7401 0.0196 0.1536
Co 0.9998 0.0002 0.4137
O 0.3839 0.3839 0.0000
O 0.0525 0.7278 0.0057
Na 0.3740 0.0192 0.5690
Co 0.8279 0.1721 0.9074
O 0.6136 0.6285 0.1612
Na 0.6682 0.8318 0.2500
Na 0.0192 0.3740 0.4310
Na 0.2711 0.3242 0.5862
O 0.8025 0.4451 0.3322
O 0.9804 0.2599 0.1536
Na 0.1727 0.8273 0.7188
O 0.3025 0.9451 0.1678
Na 0.5170 0.1620 0.1851
O 0.5525 0.2278 0.4943
O 0.8864 0.8715 0.6612
Na 0.9750 0.0250 0.7808
O 0.4804 0.7599 0.3464
Na 0.3380 0.9830 0.3149
O 0.5196 0.2401 0.6536
Na 0.6758 0.7289 0.5862
O 0.1285 0.1136 0.6612

***

(2)
A plane-wave DFT calculation with PBE with a Hubbard U was carried out for a geometry-optimized Li3Ti2Ni2O8 structure.

Properties
Energy of formation in kcal/mol of atoms: -55.55
Energy in eV per atom: -6.5479
Energy relative to the lowest polymorph listed for this composition in kJ/mol of formula units: 0

Cell lengths 5.9353, 5.8869, 5.8869 Å; angles 120.05, 60.15, 119.85 degrees
Atoms (fractional coordinates):
Ni 0.5000 0.5000 0.5000
O 0.7284 0.7559 0.2441
O 0.7180 0.2610 0.2861
Li 0.0000 0.0000 0.5000
Ni 0.0000 0.5000 0.5000
O 0.7290 0.2490 0.7510
O 0.2820 0.2861 0.2610
Ti 0.5000 0.0000 0.5000
Li 0.0000 0.5000 0.0000
O 0.2716 0.2441 0.7559
Li 0.5000 0.0000 0.0000
Ti 0.5000 0.5000 0.0000
O 0.7180 0.7139 0.7390
O 0.2711 0.7510 0.2490
O 0.2820 0.7390 0.7139

***

Which value of energy relative to the lowest polymorph listed for this composition does entry 1 give?
72 kJ/mol of formula units

***

What is the formula in the second record?
Li3Ti2Ni2O8

***

Which of these has the lowest energy of formation?
Li3Ti2Ni2O8